A relaxed Rb2TaAuF6 crystal, computed with PBE.

```
Rb2TaAuF6
1.0
0.000 5.139 5.139
5.139 0.000 5.139
5.139 5.139 0.000
Rb Ta Au F
2 1 1 6
Direct
0.250 0.250 0.250
0.750 0.750 0.750
0.000 0.000 0.000
0.500 0.500 0.500
0.187 0.187 0.813
0.187 0.813 0.187
0.187 0.813 0.813
0.813 0.187 0.187
0.813 0.187 0.813
0.813 0.813 0.187
```

Magnetization, μB/cell: 0.00
Energy, eV/atom: -5.333
Corrected total energy (MP2020 scheme), eV per atom: -5.610